Record 1
! NaHoTi2O6 PBE-GGA optimized geometry; values from VASP
&SYSTEM
  ibrav = 0, nat = 20, ntyp = 4
/
ATOMIC_SPECIES
Na 22.99 Na.upf
Ho 164.93 Ho.upf
Ti 47.87 Ti.upf
O 16.00 O.upf
ATOMIC_POSITIONS angstrom
Na -1.3664 3.4801 4.8178
Na -4.4175 3.2625 0.5811
Ho 1.6823 2.4464 2.5848
Ho -3.8605 0.8071 3.5827
Ti 0.6964 5.4627 3.4980
Ti -0.6562 0.4029 4.4350
Ti -1.4882 2.8178 1.7398
Ti 1.4787 2.9875 6.1532
O 1.2682 3.7489 4.4213
O -2.0214 1.2643 5.4717
O -2.1189 3.8878 0.2776
O -0.4216 5.9870 4.9467
O 0.3947 6.9309 2.3005
O -3.0447 2.8112 2.8356
O -0.4282 1.6951 3.0560
O -0.2155 3.4507 6.9252
O -3.1123 4.9619 4.7582
O -0.7667 4.4607 2.5975
O -2.0695 -0.5707 3.4298
O -2.1153 1.2425 0.7593
CELL_PARAMETERS angstrom
-3.7778 3.6559 -0.8054
-2.3139 -1.3202 4.8609
4.3195 5.2295 3.4764
! crystal system	orthorhombic
! ΔH_f (0 K)	-3.445	eV/atom
! energy	-8.171	eV/atom

=====

Record 2
! ZnNi2S4 PBE-GGA optimized geometry; values from VASP
&SYSTEM
  ibrav = 0, nat = 14, ntyp = 3
/
ATOMIC_SPECIES
Zn 65.41 Zn.upf
Ni 58.69 Ni.upf
S 32.06 S.upf
ATOMIC_POSITIONS angstrom
Zn 0.0000 0.0000 0.0000
Zn -5.3619 -1.7881 -1.7795
Ni -2.6390 0.2977 -2.1637
Ni -2.9700 1.2816 1.1277
Ni -5.6090 1.5793 -1.0360
Ni -8.3318 -0.5065 -0.6518
S -9.5585 -2.2195 -1.9405
S -7.0298 -2.3432 -0.0939
S -4.1000 -0.0206 -0.4080
S -6.9085 0.1859 -2.3277
S -12.5637 -0.9924 -0.8956
S -9.6338 1.3302 -1.2097
S -9.7552 -1.1989 1.0242
S -7.1052 1.2064 0.6370
CELL_PARAMETERS angstrom
-5.9399 2.5632 2.2554
-5.2780 0.5955 -4.3274
-5.4457 -4.1717 0.7685
! crystal system	triclinic
! ΔH_f (0 K)	-0.563	eV/atom
! energy	-4.471	eV/atom

=====

Record 3
! DySbRh PBE-GGA optimized geometry; values from VASP
&SYSTEM
  ibrav = 0, nat = 12, ntyp = 3
/
ATOMIC_SPECIES
Dy 162.50 Dy.upf
Sb 121.76 Sb.upf
Rh 102.91 Rh.upf
ATOMIC_POSITIONS angstrom
Dy 1.1530 3.6654 1.5574
Dy 3.4591 3.5158 6.2090
Dy 3.4591 7.1064 5.4406
Dy 1.1530 0.0748 2.3258
Sb 1.1530 4.9624 4.6027
Sb 3.4591 2.2188 3.1637
Sb 3.4591 5.8093 0.7195
Sb 1.1530 1.3718 7.0469
Rh 1.1530 5.7539 7.1642
Rh 3.4591 1.4272 0.6022
Rh 3.4591 5.0178 3.2810
Rh 1.1530 2.1634 4.4854
CELL_PARAMETERS angstrom
4.6121 0.0000 0.0000
0.0000 7.1812 0.0000
0.0000 0.0000 7.7664
! crystal system	orthorhombic
! ΔH_f (0 K)	-1.002	eV/atom
! energy	-6.369	eV/atom

=====

Record 4
! Ag2SO4 PBE-GGA optimized geometry; values from VASP
&SYSTEM
  ibrav = 0, nat = 14, ntyp = 3
/
ATOMIC_SPECIES
Ag 107.87 Ag.upf
S 32.06 S.upf
O 16.00 O.upf
ATOMIC_POSITIONS angstrom
Ag -12.4505 -2.8903 0.1759
Ag -9.0587 -2.0219 3.2007
Ag -4.8501 -1.0295 2.5329
Ag -8.1450 -1.9367 -0.4509
S -2.1955 -0.4885 0.3183
S -15.0204 -3.4205 2.3741
O -7.0548 -0.2664 -1.7254
O -6.4016 -1.8181 4.0700
O -8.7563 -3.5447 1.1627
O -3.5947 -0.4173 0.5640
O -10.1537 -3.7516 4.4530
O -10.7922 -2.1244 -1.3017
O -13.5861 -3.5857 2.1349
O -8.5215 -0.4076 1.6048
CELL_PARAMETERS angstrom
-7.2431 -4.3450 0.5841
-4.4659 -0.8388 5.1451
-5.5031 1.2484 -2.9944
! crystal system	triclinic
! ΔH_f (0 K)	-1.229	eV/atom
! energy	-5.064	eV/atom

=====

Record 5
! K2CS3O PBE-GGA optimized geometry; values from VASP
&SYSTEM
  ibrav = 0, nat = 28, ntyp = 4
/
ATOMIC_SPECIES
K 39.10 K.upf
C 12.01 C.upf
S 32.06 S.upf
O 16.00 O.upf
ATOMIC_POSITIONS angstrom
K -1.5652 -1.7700 -2.2968
K -4.7698 -5.2916 -1.2333
K -8.8611 -16.0190 -4.2824
K -5.6565 -12.4974 -5.3459
K -6.7273 -12.8905 -9.3400
K -6.7615 -13.6005 -1.6374
K -3.6991 -4.8985 2.7608
K -3.6648 -4.1884 -4.9418
C -1.5479 -4.3262 0.0827
C -5.6383 -8.6333 -0.7086
C -8.8784 -13.4628 -6.6619
C -4.7880 -9.1557 -5.8706
S -1.2611 -5.0042 -1.4773
S -4.1909 -8.2821 0.1617
S -9.1652 -12.7847 -5.1019
S -6.2354 -9.5068 -6.7409
S -6.9700 -7.5631 -0.6291
S -2.8096 -3.1939 0.3089
S -3.4563 -10.2259 -5.9501
S -7.6167 -14.5951 -6.8881
S -0.4771 -4.9237 1.2995
S -5.5685 -10.1186 -1.5880
S -9.9492 -12.8652 -7.8786
S -4.8579 -7.6704 -4.9912
O -6.0885 -10.7980 -7.6035
O -8.1095 -13.2699 -4.0613
O -4.3379 -6.9910 1.0243
O -2.3169 -4.5190 -2.5178
CELL_PARAMETERS angstrom
-6.4779 -5.7448 -13.5653
1.1320 -6.1794 2.0764
-5.0804 -5.8648 4.9098
! crystal system	monoclinic
! ΔH_f (0 K)	-0.812	eV/atom
! energy	-4.829	eV/atom

=====

Record 6
! LuZnPd PBE-GGA optimized geometry; values from VASP
&SYSTEM
  ibrav = 0, nat = 9, ntyp = 3
/
ATOMIC_SPECIES
Lu 174.97 Lu.upf
Zn 65.41 Zn.upf
Pd 106.42 Pd.upf
ATOMIC_POSITIONS angstrom
Lu -4.0840 -0.9312 1.0157
Lu -1.6447 1.9714 1.4383
Lu -1.1437 -2.6071 -0.7448
Zn -1.1705 -1.1218 2.0841
Zn -2.4484 2.9007 4.2942
Zn -1.5273 -5.5170 0.2806
Pd 0.0000 0.0000 0.0000
Pd -3.0666 0.3736 3.4012
Pd -2.6550 -3.3879 1.6077
CELL_PARAMETERS angstrom
-4.0536 4.8588 3.5448
-2.8187 -6.4257 -1.8356
1.1507 -1.4474 3.2998
! crystal system	hexagonal
! ΔH_f (0 K)	-0.772	eV/atom
! energy	-4.426	eV/atom

=====

Record 7
! ThURe4 PBE-GGA optimized geometry; values from VASP
&SYSTEM
  ibrav = 0, nat = 12, ntyp = 3
/
ATOMIC_SPECIES
Th 232.04 Th.upf
U 238.03 U.upf
Re 186.21 Re.upf
ATOMIC_POSITIONS angstrom
Th 2.7252 -1.5734 3.8417
Th 2.7252 1.5734 5.0273
U 2.7252 1.5734 8.3252
U 2.7252 -1.5734 0.5437
Re 0.0000 0.0000 4.4345
Re 0.0000 0.0000 0.0000
Re 4.0568 0.8045 2.1737
Re 2.7252 3.1111 2.1737
Re 1.3935 0.8045 2.1737
Re 1.3935 -0.8045 6.6953
Re 2.7252 -3.1111 6.6953
Re 4.0568 -0.8045 6.6953
CELL_PARAMETERS angstrom
2.7252 -4.7201 0.0000
2.7252 4.7201 0.0000
0.0000 0.0000 8.8689
! crystal system	trigonal
! ΔH_f (0 K)	-0.006	eV/atom
! energy	-11.420	eV/atom

=====

Record 8
! NpPd3 PBE-GGA optimized geometry; values from VASP
&SYSTEM
  ibrav = 0, nat = 16, ntyp = 2
/
ATOMIC_SPECIES
Np 237.00 Np.upf
Pd 106.42 Pd.upf
ATOMIC_POSITIONS angstrom
Np 0.8796 2.6675 -3.9316
Np 0.0000 0.0000 0.0000
Np 1.5127 6.7706 -3.9752
Np 3.4102 2.2735 -0.6637
Pd -0.4138 4.9680 -2.6601
Pd 2.4614 4.5221 -2.3194
Pd 3.7549 2.2215 -3.5909
Pd -1.2934 2.3006 1.2715
Pd 1.5819 1.8546 1.6122
Pd 2.8753 -0.4459 0.3407
Pd 5.6304 4.0578 -4.8946
Pd 4.3870 6.2818 -3.6639
Pd 2.8527 4.4830 -5.2275
Pd -0.7075 4.9864 0.2557
Pd 0.5359 2.7624 -0.9750
Pd 2.0702 4.5612 0.5887
CELL_PARAMETERS angstrom
-2.5868 4.6011 2.5430
5.7505 -0.8919 0.6814
1.7592 5.3349 -7.8633
! crystal system	orthorhombic
! ΔH_f (0 K)	-0.446	eV/atom
! energy	-7.567	eV/atom

=====

Record 9
! YFe2Ge2 PBE-GGA optimized geometry; values from VASP
&SYSTEM
  ibrav = 0, nat = 5, ntyp = 3
/
ATOMIC_SPECIES
Y 88.91 Y.upf
Fe 55.84 Fe.upf
Ge 72.64 Ge.upf
ATOMIC_POSITIONS angstrom
Y 0.0000 0.0000 0.0000
Fe 2.3825 -1.7647 -1.2895
Fe 0.3224 -3.2168 -0.0334
Ge 4.1468 -4.6656 1.4073
Ge 2.4559 -2.7632 0.8335
CELL_PARAMETERS angstrom
5.3615 -2.2622 -0.1357
1.2412 -5.1666 2.3765
-3.8978 2.4472 -3.5637
! crystal system	tetragonal
! ΔH_f (0 K)	-0.460	eV/atom
! energy	-6.990	eV/atom

=====

Record 10
! MgZr4Cu2S8 PBE-GGA optimized geometry; values from VASP
&SYSTEM
  ibrav = 0, nat = 15, ntyp = 4
/
ATOMIC_SPECIES
Mg 24.30 Mg.upf
Zr 91.22 Zr.upf
Cu 63.55 Cu.upf
S 32.06 S.upf
ATOMIC_POSITIONS angstrom
Mg 5.5419 3.9187 9.5989
Zr 4.2527 3.0071 4.1527
Zr 4.2527 3.0071 7.3659
Zr 1.4700 3.0071 5.7593
Zr 3.3252 0.3836 5.7593
Cu 7.7587 5.4862 13.4385
Cu 1.1084 0.7837 1.9198
S 6.6262 4.6854 11.4769
S 2.1978 1.5541 7.7120
S 3.3252 4.7428 5.7593
S 5.5799 1.5541 5.7593
S 5.5419 1.6187 9.5989
S 3.3734 4.6854 9.5989
S 2.1978 1.5541 3.8067
S 6.6262 4.6854 7.7209
CELL_PARAMETERS angstrom
6.6503 0.0000 3.8396
2.2168 6.2700 3.8396
0.0000 0.0000 7.6791
! crystal system	cubic
! ΔH_f (0 K)	-1.241	eV/atom
! energy	-6.111	eV/atom

=====

Record 11
! PaAlAu2 PBE-GGA optimized geometry; values from VASP
&SYSTEM
  ibrav = 0, nat = 4, ntyp = 3
/
ATOMIC_SPECIES
Pa 231.04 Pa.upf
Al 26.98 Al.upf
Au 196.97 Au.upf
ATOMIC_POSITIONS angstrom
Pa 0.0000 0.0000 0.0000
Al 3.4604 3.4604 3.4604
Au 1.7302 1.7302 1.7302
Au 5.1906 5.1906 5.1906
CELL_PARAMETERS angstrom
0.0000 3.4604 3.4604
3.4604 0.0000 3.4604
3.4604 3.4604 0.0000
! crystal system	cubic
! ΔH_f (0 K)	-0.425	eV/atom
! energy	-5.377	eV/atom

=====

Record 12
! Mg2NiH4 PBE-GGA optimized geometry; values from VASP
&SYSTEM
  ibrav = 0, nat = 14, ntyp = 3
/
ATOMIC_SPECIES
Mg 24.30 Mg.upf
Ni 58.69 Ni.upf
H 1.01 H.upf
ATOMIC_POSITIONS angstrom
Mg -1.5996 1.6143 4.8976
Mg 1.5996 1.6143 4.8976
Mg 1.5996 4.6092 1.6789
Mg -1.5996 4.6092 1.6789
Ni 0.0000 0.0000 0.0000
Ni 0.0000 3.1117 3.2882
H 1.6572 3.0815 0.0000
H -1.6572 3.0815 0.0000
H 0.0000 1.5989 6.4639
H 0.0000 4.6246 0.1125
H 0.0000 2.9945 1.7499
H 0.0000 3.2289 4.8266
H 0.0000 1.5647 3.4063
H 0.0000 4.6587 3.1702
CELL_PARAMETERS angstrom
3.1842 3.0815 0.0000
-3.1842 3.0815 0.0000
0.0000 0.0604 6.5764
! crystal system	monoclinic
! ΔH_f (0 K)	-0.241	eV/atom
! energy	-3.361	eV/atom

=====

Record 13
! ZnH8C4N2O6 PBE-GGA optimized geometry; values from VASP
&SYSTEM
  ibrav = 0, nat = 42, ntyp = 5
/
ATOMIC_SPECIES
Zn 65.41 Zn.upf
H 1.01 H.upf
C 12.01 C.upf
N 14.01 N.upf
O 16.00 O.upf
ATOMIC_POSITIONS angstrom
Zn 0.0000 0.0000 0.0000
Zn -4.4720 3.7588 4.1433
H 0.4931 7.4471 2.0403
H -5.0157 5.8102 1.2903
H -10.2848 2.7470 -1.5561
H -4.7760 4.3839 -0.8061
H -0.1220 5.7989 1.8321
H -5.3190 7.5241 1.6207
H -9.6697 4.3953 -1.3479
H -4.4727 2.6701 -1.1365
H 0.2867 5.2016 4.0161
H -5.4138 8.0989 -0.6051
H -10.0784 4.9925 -3.5319
H -4.3779 2.0952 1.0893
H -2.0653 0.9776 -0.3747
H -7.3317 5.7489 -2.7415
H -7.7264 9.2165 0.8589
H -2.4600 4.4453 3.2257
C 0.5477 6.2292 3.7001
C -5.2256 7.0393 -0.3489
C -10.3394 3.9650 -3.2159
C -4.5661 3.1548 0.8331
C -1.2426 3.3697 0.1515
C -7.0168 3.2755 -3.4192
C -8.5491 6.8244 0.3327
C -2.7749 6.9187 3.9034
N 0.3236 6.4978 2.4146
N -5.1425 6.7807 0.9554
N -10.1153 3.6963 -1.9304
N -4.6491 3.4134 -0.4712
O -0.3319 3.7497 0.7405
O -6.3531 2.7831 -4.2178
O -9.4598 6.4445 -0.2563
O -3.4385 7.4110 4.7020
O -8.1696 9.4826 0.0354
O -2.7061 4.2284 4.1410
O -1.6221 0.7115 0.4488
O -7.0856 5.9658 -3.6568
O 1.0105 7.0597 4.5171
O -5.1121 6.1676 -1.2426
O -10.8022 3.1344 -4.0329
O -4.6795 4.0266 1.7268
CELL_PARAMETERS angstrom
-0.8477 2.6765 -7.8024
-10.3479 0.7390 1.3777
1.4039 6.7787 6.9088
! crystal system	monoclinic
! ΔH_f (0 K)	-0.755	eV/atom
! energy	-5.877	eV/atom

=====

Record 14
! ZrTiCr2Fe2 PBE-GGA optimized geometry; values from VASP
&SYSTEM
  ibrav = 0, nat = 12, ntyp = 4
/
ATOMIC_SPECIES
Zr 91.22 Zr.upf
Ti 47.87 Ti.upf
Cr 52.00 Cr.upf
Fe 55.84 Fe.upf
ATOMIC_POSITIONS angstrom
Zr -2.4645 1.4078 -0.5650
Zr -2.4885 -1.4376 -7.4088
Ti -2.4880 -1.4372 -4.4180
Ti -2.4642 1.4079 -3.5099
Cr -4.9473 -0.0252 -3.9712
Cr -4.9530 -0.0290 -7.9164
Cr -1.2731 0.7123 -5.8690
Cr -2.4705 2.7871 -5.8688
Fe -3.6781 0.7067 -5.8885
Fe -3.7021 -0.7429 -2.0480
Fe -2.4944 -2.8355 -2.0482
Fe -1.2668 -0.7316 -2.0453
CELL_PARAMETERS angstrom
-2.4999 -4.2749 -0.0032
-2.4515 4.2469 0.0003
-0.0047 -0.0033 -7.9288
! crystal system	monoclinic
! ΔH_f (0 K)	-0.145	eV/atom
! energy	-8.926	eV/atom

=====

Record 15
! SrTh2Se5 PBE-GGA optimized geometry; values from VASP
&SYSTEM
  ibrav = 0, nat = 32, ntyp = 3
/
ATOMIC_SPECIES
Sr 87.62 Sr.upf
Th 232.04 Th.upf
Se 78.96 Se.upf
ATOMIC_POSITIONS angstrom
Sr 1.7068 1.8407 13.4949
Sr 1.6708 -0.9904 10.1024
Sr -1.5577 -2.5798 3.8531
Sr -1.5217 0.2512 7.2457
Th -2.7841 2.5107 3.4389
Th 0.6374 3.5676 9.3640
Th 2.9332 -3.2498 13.9091
Th -0.4883 -4.3067 7.9840
Th 1.4890 2.5737 4.9635
Th -4.4924 -5.1121 6.0077
Th -1.3399 -3.3129 12.3846
Th 4.6415 4.3729 11.3403
Se -2.5948 -0.5974 12.9084
Se -3.9194 0.8873 9.4829
Se 0.6924 -1.3409 13.4085
Se 4.0685 -1.6264 7.8651
Se 1.6576 1.2400 7.6565
Se 3.7162 -5.8985 12.5878
Se -1.5085 -1.9791 9.6916
Se -3.5671 5.1594 4.7602
Se 1.0431 -4.1307 10.5890
Se 3.5972 1.4962 10.8872
Se -0.8940 3.3916 6.7590
Se -6.4200 -0.5402 7.6614
Se -0.1912 1.3516 10.9647
Se 4.2162 -2.2877 11.5453
Se 0.3403 -2.0907 6.3834
Se -4.0670 1.5486 5.8028
Se -3.4481 -2.2353 6.4609
Se 6.5691 -0.1989 9.6867
Se 2.7439 -0.1417 4.4397
Se -0.5433 0.6017 3.9395
CELL_PARAMETERS angstrom
-2.3563 6.5029 3.9580
-5.9896 -4.7966 4.3149
8.4950 -2.4455 9.0751
! crystal system	monoclinic
! ΔH_f (0 K)	-2.140	eV/atom
! energy	-6.095	eV/atom

=====

Record 16
! LiBiP2O7 PBE-GGA optimized geometry; values from VASP
&SYSTEM
  ibrav = 0, nat = 44, ntyp = 4
/
ATOMIC_SPECIES
Li 6.94 Li.upf
Bi 208.98 Bi.upf
P 30.97 P.upf
O 16.00 O.upf
ATOMIC_POSITIONS angstrom
Li 3.9129 8.3908 7.1053
Li 0.0587 6.5653 2.3968
Li 7.8846 4.5518 7.0202
Li 4.0304 2.7263 2.3117
Bi 0.2238 8.1521 7.2649
Bi 3.7479 6.3266 2.5564
Bi 4.1954 4.7904 6.8606
Bi 7.7195 2.9649 2.1521
P 1.9306 10.3231 9.0423
P 2.0411 8.4976 4.3338
P 6.1815 6.9698 5.0867
P 2.2098 5.9728 9.0388
P 5.7335 5.1443 0.3782
P 1.7619 4.1473 4.3303
P 5.9022 2.6195 5.0832
P 6.0128 0.7940 0.3747
O 4.5115 2.6257 5.7357
O 2.8919 9.4061 8.3489
O 6.5320 8.5680 5.3414
O 5.7858 8.4765 8.3119
O 2.0561 8.3434 5.8723
O 7.4035 0.8002 1.0272
O 1.0797 7.5805 3.6404
O 4.7964 6.7063 5.7501
O 5.3830 6.7425 0.6329
O 3.3479 6.5450 8.1726
O 6.1292 6.6510 3.6034
O 1.9156 6.5179 1.1638
O 7.3195 6.3976 5.9529
O 0.8247 6.2363 8.3753
O 7.1186 4.8807 1.0416
O 0.6238 4.7195 3.4641
O 6.0277 4.5992 8.2532
O 1.8141 4.4661 5.8135
O 4.5954 4.5720 1.2444
O 2.5604 4.3746 8.7840
O 3.1469 4.4108 3.6669
O 6.8636 3.5365 5.7766
O 0.5398 10.3169 8.3898
O 5.8873 2.7737 3.5447
O 2.1576 2.6406 1.1051
O 1.4113 2.5490 4.0755
O 5.0514 1.7110 1.0681
O 3.4318 8.4913 3.6813
CELL_PARAMETERS angstrom
7.9433 0.0000 0.0000
0.0000 7.4660 0.0000
0.0000 3.6510 9.4170
! crystal system	monoclinic
! ΔH_f (0 K)	-2.467	eV/atom
! energy	-6.690	eV/atom

=====

Record 17
! LiI PBE-GGA optimized geometry; values from VASP
&SYSTEM
  ibrav = 0, nat = 2, ntyp = 2
/
ATOMIC_SPECIES
Li 6.94 Li.upf
I 126.90 I.upf
ATOMIC_POSITIONS angstrom
Li 0.0000 0.0000 0.0000
I 4.1564 -1.2620 -2.8919
CELL_PARAMETERS angstrom
2.7683 -3.0974 -0.9472
1.4841 -0.3886 -3.9750
4.0604 0.9619 -0.8616
! crystal system	cubic
! ΔH_f (0 K)	-1.386	eV/atom
! energy	-2.913	eV/atom